Density functional theory data (GGA-PBE) for a geometry-optimized Mg3Si4O12 structure.

Lattice parameters (Å, degrees): 5.388 9.267 19.326 90.00 95.94 90.00
Space group C2/c (No. 15)
One atom of each set of equivalent atoms:
Mg 0.234 0.088 0.000
Mg 0.250 0.250 0.500
Si 0.136 0.083 0.645
Si 0.136 0.250 0.145
O 0.091 0.425 0.544
O 0.103 0.085 0.559
O 0.104 0.248 0.059
O 0.106 0.165 0.827
O 0.106 0.332 0.327
O 0.150 0.083 0.174

Energy of formation ... -2.96 eV/atom
Calculated total energy ... -535.822 eV for the cell shown
Spin magnetization ... 2.00 μB/f.u.

***

Density functional theory data (GGA-PBE) for a geometry-optimized Mg2SiO4 structure.

Lattice parameters (Å, degrees): 10.323 6.048 4.803 90.00 90.00 90.00
Space group Pnma (No. 62)
One atom of each set of equivalent atoms:
Mg 0.000 0.000 0.000
Mg 0.223 0.250 0.492
Si 0.094 0.750 0.426
O 0.053 0.250 0.722
O 0.092 0.750 0.766
O 0.163 0.533 0.277

Energy of formation ... -3.22 eV/atom
Calculated total energy ... -192.888 eV for the cell shown

***

Density functional theory data (GGA-PBE) for a geometry-optimized Mg2SiO4 structure.

Lattice parameters (Å, degrees): 6.0145 6.0145 4.8289 90.00 90.00 120.00
Space group P-3m1 (No. 164)
One atom of each set of equivalent atoms:
Mg 0.0000 0.0000 0.0000
Mg 0.0000 0.5000 0.5000
Si 0.3333 0.6667 0.9268
O 0.1887 0.3774 0.7768
O 0.3333 0.6667 0.2647

Energy of formation ... -3.16 eV/atom
Calculated total energy ... -95.572 eV for the cell shown
Spin magnetization ... 0.00 μB/f.u.

***

Density functional theory data (GGA-PBE) for a geometry-optimized MgSiO3 structure.

Lattice parameters (Å, degrees): 11.642 11.642 11.543 90.00 90.00 90.00
Space group I4_1/a (No. 88, origin choice 2)
One atom of each set of equivalent atoms:
Mg 0.000 0.000 0.000
Mg 0.000 0.250 0.373
Mg 0.128 0.486 0.235
Si 0.000 0.000 0.500
Si 0.000 0.250 0.125
Si 0.000 0.250 0.625
Si 0.125 0.489 0.745
O 0.026 0.441 0.833
O 0.036 0.352 0.532
O 0.043 0.045 0.360
O 0.063 0.163 0.031
O 0.144 0.026 0.555
O 0.165 0.463 0.049

Energy of formation ... -3.15 eV/atom
Calculated total energy ... -1137.609 eV for the cell shown
Spin magnetization ... 0.00 μB/f.u.

***

- calculated total energy of number 2 (Mg2SiO4)?
  -192.888 eV for the cell shown